[1]
The following is a r2SCAN calculation of a geometry-optimized AgPdO2 structure, from the Materials Project database.

Cell lengths 3.0238, 6.3517, 6.2027 Å; angles 117.51, 90.00, 90.00 degrees
Element x y z (fractional)
1 O 0.0000 0.6414 0.2387
2 O 0.5000 0.2362 0.0965
3 O 0.5000 0.7638 0.9035
4 O 0.0000 0.3586 0.7613
5 Ag 0.0000 0.5000 0.5000
6 Ag 0.0000 0.0000 0.5000
7 Pd 0.5000 0.5000 0.0000
8 Pd 0.0000 0.0000 0.0000

## Properties
The value obtained for the formation energy is -457.9 meV per atom. Its space group is P2/m. The crystal system is monoclinic. The final energy comes out at -1.067 Ry/atom.


[2]
The following is a r2SCAN calculation of a geometry-optimized MgAu structure, from the Materials Project database.

Cell lengths 3.2735, 3.2735, 3.2735 Å; angles 90.00, 90.00, 90.00 degrees
Element x y z (fractional)
1 Au 0.0000 0.0000 0.0000
2 Mg 0.5000 0.5000 0.5000

## Properties
The value obtained for the formation energy is -612.8 meV per atom. Its space group is Pm-3m. The crystal system is cubic. The final energy comes out at -2.057 Ry/atom.


[3]
The following is a r2SCAN calculation of a geometry-optimized NdAsPd structure, from the Materials Project database.

Cell lengths 4.3615, 4.3615, 7.8304 Å; angles 90.00, 90.00, 120.00 degrees
Element x y z (fractional)
1 Nd 0.0000 0.0000 0.0000
2 Nd 0.0000 0.0000 0.5000
3 As 0.3333 0.6667 0.7500
4 As 0.6667 0.3333 0.2500
5 Pd 0.3333 0.6667 0.2500
6 Pd 0.6667 0.3333 0.7500

## Properties
The value obtained for the formation energy is -1323.7 meV per atom. Its space group is P6_3/mmc. The crystal system is hexagonal. The final energy comes out at -1.741 Ry/atom.


[4]
The following is a r2SCAN calculation of a geometry-optimized TbSi2Rh2 structure, from the Materials Project database.

Cell lengths 4.0437, 4.0437, 5.7429 Å; angles 110.61, 110.61, 90.00 degrees
Element x y z (fractional)
1 Rh 0.2500 0.7500 0.5000
2 Rh 0.7500 0.2500 0.5000
3 Tb 0.0000 0.0000 0.0000
4 Si 0.6224 0.6224 0.2447
5 Si 0.3776 0.3776 0.7553

## Properties
The value obtained for the formation energy is -1201.0 meV per atom. Its space group is I4/mmm. The crystal system is tetragonal. The final energy comes out at -1.515 Ry/atom.


The highest final energy belongs to which entry?
AgPdO2